# Na42Mg8Ta16Si33S3O144

A geometry-optimized Na42Mg8Ta16Si33S3O144 structure (PBE-GGA, the Materials Project).

a b c (Å): 9.101 15.734 22.402
angles (deg): 89.85 89.91 89.99
Fractional positions:
Na1 0.000 0.000 0.000
Na2 0.001 0.663 0.333
Na3 0.119 0.167 0.582
Na4 0.121 0.498 0.752
Na5 0.121 0.500 0.253
Na6 0.122 0.836 0.415
Na7 0.125 0.170 0.077
Na8 0.136 0.836 0.916
Na9 0.248 0.662 0.834
Na10 0.255 0.998 0.503
Na11 0.266 0.337 0.159
Na12 0.294 0.687 0.498
Na13 0.298 0.014 0.159
Na14 0.300 0.360 0.835
Na15 0.305 0.657 0.160
Na16 0.322 0.987 0.833
Na17 0.328 0.323 0.497
Na18 0.422 0.823 0.998
Na19 0.426 0.487 0.333
Na20 0.441 0.158 0.660
Na21 0.452 0.515 0.659
Na22 0.454 0.192 0.998
Na23 0.491 0.492 0.000
Na24 0.501 0.163 0.334
Na25 0.621 0.336 0.416
Na26 0.624 0.673 0.580
Na27 0.625 0.336 0.921
Na28 0.625 0.994 0.254
Na29 0.627 0.000 0.749
Na30 0.627 0.671 0.081
Na31 0.753 0.162 0.834
Na32 0.754 0.499 0.501
Na33 0.793 0.185 0.498
Na34 0.803 0.859 0.828
Na35 0.804 0.517 0.159
Na36 0.808 0.159 0.159
Na37 0.826 0.485 0.834
Na38 0.828 0.824 0.498
Na39 0.926 0.985 0.333
Na40 0.927 0.324 0.998
Na41 0.943 0.660 0.659
Na42 0.958 0.685 0.999
Mg1 0.118 0.837 0.563
Mg2 0.125 0.503 0.893
Mg3 0.129 0.505 0.389
Mg4 0.133 0.836 0.063
Mg5 0.618 0.336 0.562
Mg6 0.619 0.007 0.890
Mg7 0.626 0.337 0.059
Mg8 0.629 0.005 0.390
Ta1 0.121 0.168 0.724
Ta2 0.125 0.169 0.226
Ta3 0.125 0.838 0.763
Ta4 0.126 0.170 0.933
Ta5 0.126 0.504 0.097
Ta6 0.127 0.836 0.265
Ta7 0.128 0.165 0.430
Ta8 0.128 0.509 0.601
Ta9 0.622 0.664 0.930
Ta10 0.623 0.008 0.101
Ta11 0.625 0.672 0.724
Ta12 0.626 0.336 0.764
Ta13 0.627 0.666 0.429
Ta14 0.628 0.337 0.266
Ta15 0.629 0.673 0.226
Ta16 0.631 0.010 0.602
Si1 0.268 0.317 0.328
Si2 0.269 0.651 0.991
Si3 0.271 0.981 0.658
Si4 0.273 0.358 0.992
Si5 0.275 0.020 0.327
Si6 0.275 0.695 0.659
Si7 0.331 0.336 0.660
Si8 0.333 0.000 0.992
Si9 0.335 0.672 0.328
Si10 0.415 0.170 0.827
Si11 0.418 0.502 0.492
Si12 0.419 0.836 0.160
Si13 0.478 0.522 0.826
Si14 0.479 0.194 0.160
Si15 0.479 0.816 0.829
Si16 0.481 0.482 0.160
Si17 0.482 0.150 0.492
Si18 0.769 0.817 0.329
Si19 0.770 0.149 0.991
Si20 0.773 0.481 0.659
Si21 0.774 0.521 0.327
Si22 0.775 0.195 0.658
Si23 0.833 0.838 0.659
Si24 0.834 0.172 0.329
Si25 0.834 0.503 0.992
Si26 0.916 0.336 0.159
Si27 0.917 0.001 0.492
Si28 0.917 0.671 0.828
Si29 0.978 0.693 0.158
Si30 0.978 0.980 0.160
Si31 0.980 0.023 0.829
Si32 0.980 0.315 0.827
Si33 0.981 0.651 0.492
S1 0.483 0.859 0.494
S2 0.768 0.859 0.993
S3 0.983 0.359 0.494
O1 0.000 0.746 0.099
O2 0.007 0.252 0.887
O3 0.009 0.586 0.553
O4 0.010 0.411 0.441
O5 0.012 0.921 0.220
O6 0.015 0.094 0.489
O7 0.015 0.759 0.822
O8 0.018 0.086 0.773
O9 0.018 0.588 0.829
O10 0.021 0.423 0.156
O11 0.028 0.254 0.171
O12 0.031 0.923 0.499
O13 0.048 0.078 0.171
O14 0.048 0.604 0.435
O15 0.051 0.407 0.829
O16 0.052 0.399 0.549
O17 0.052 0.744 0.498
O18 0.054 0.263 0.772
O19 0.056 0.272 0.491
O20 0.057 0.596 0.155
O21 0.058 0.738 0.218
O22 0.058 0.945 0.102
O23 0.062 0.069 0.888
O24 0.064 0.930 0.822
O25 0.182 0.931 0.322
O26 0.186 0.263 0.989
O27 0.191 0.069 0.386
O28 0.191 0.405 0.053
O29 0.193 0.737 0.719
O30 0.194 0.597 0.655
O31 0.199 0.745 0.999
O32 0.202 0.608 0.933
O33 0.202 0.943 0.599
O34 0.203 0.264 0.270
O35 0.203 0.410 0.331
O36 0.207 0.079 0.670
O37 0.220 0.922 0.999
O38 0.228 0.252 0.672
O39 0.231 0.424 0.654
O40 0.231 0.758 0.321
O41 0.232 0.083 0.270
O42 0.235 0.589 0.330
O43 0.237 0.092 0.990
O44 0.237 0.921 0.719
O45 0.239 0.252 0.386
O46 0.243 0.587 0.052
O47 0.246 0.415 0.934
O48 0.250 0.746 0.599
O49 0.294 0.158 0.489
O50 0.298 0.491 0.156
O51 0.298 0.820 0.822
O52 0.301 0.176 0.170
O53 0.304 0.514 0.829
O54 0.305 0.854 0.217
O55 0.306 0.158 0.770
O56 0.306 0.518 0.552
O57 0.307 0.187 0.886
O58 0.316 0.486 0.435
O59 0.324 0.846 0.500
O60 0.328 0.814 0.101
O61 0.425 0.315 0.602
O62 0.434 0.983 0.935
O63 0.441 0.354 0.719
O64 0.444 0.685 0.387
O65 0.446 0.016 0.052
O66 0.446 0.344 0.000
O67 0.447 0.660 0.271
O68 0.448 0.017 0.332
O69 0.450 0.674 0.670
O70 0.451 0.319 0.321
O71 0.453 0.994 0.655
O72 0.457 0.658 0.989
O73 0.495 0.249 0.102
O74 0.508 0.086 0.553
O75 0.508 0.419 0.220
O76 0.509 0.752 0.888
O77 0.510 0.911 0.441
O78 0.514 0.259 0.821
O79 0.515 0.594 0.490
O80 0.518 0.088 0.829
O81 0.520 0.584 0.770
O82 0.520 0.923 0.154
O83 0.523 0.752 0.171
O84 0.532 0.423 0.499
O85 0.548 0.105 0.434
O86 0.548 0.579 0.171
O87 0.551 0.898 0.548
O88 0.552 0.244 0.498
O89 0.553 0.763 0.773
O90 0.556 0.096 0.156
O91 0.556 0.772 0.490
O92 0.556 0.906 0.832
O93 0.559 0.235 0.220
O94 0.560 0.445 0.103
O95 0.560 0.569 0.885
O96 0.564 0.430 0.822
O97 0.682 0.432 0.322
O98 0.690 0.569 0.386
O99 0.691 0.099 0.656
O100 0.692 0.238 0.718
O101 0.693 0.445 0.602
O102 0.695 0.772 0.991
O103 0.699 0.900 0.048
O104 0.701 0.763 0.272
O105 0.702 0.104 0.934
O106 0.703 0.243 0.999
O107 0.703 0.578 0.671
O108 0.703 0.910 0.331
O109 0.724 0.424 0.000
O110 0.725 0.922 0.653
O111 0.729 0.753 0.672
O112 0.731 0.258 0.322
O113 0.733 0.583 0.270
O114 0.734 0.595 0.989
O115 0.735 0.088 0.329
O116 0.738 0.421 0.719
O117 0.740 0.085 0.053
O118 0.740 0.752 0.387
O119 0.743 0.908 0.940
O120 0.750 0.246 0.599
O121 0.794 0.658 0.490
O122 0.798 0.319 0.821
O123 0.798 0.994 0.154
O124 0.801 0.018 0.550
O125 0.801 0.674 0.169
O126 0.804 0.352 0.218
O127 0.805 0.659 0.771
O128 0.805 0.688 0.886
O129 0.806 0.011 0.833
O130 0.818 0.986 0.434
O131 0.823 0.313 0.102
O132 0.824 0.347 0.501
O133 0.925 0.812 0.602
O134 0.928 0.847 0.001
O135 0.931 0.490 0.934
O136 0.940 0.851 0.720
O137 0.943 0.521 0.052
O138 0.944 0.186 0.387
O139 0.946 0.161 0.271
O140 0.947 0.517 0.332
O141 0.950 0.178 0.670
O142 0.952 0.819 0.321
O143 0.953 0.494 0.655
O144 0.955 0.153 0.990

Results
ΔH_f (0 K): -2.92 eV per atom
symmetry: P1
raw total energy: -7.240 eV per atom